Entry from Materials Project: an optimized crystal structure of KNaO3 (PBE).

Cell lengths 4.4398, 4.4398, 4.4398 Å; angles 90.00, 90.00, 90.00 degrees
With the nearest neighbours (Å) after each atom.
Space group Pm-3m (No. 221)
Asymmetric unit:
K (0.0000, 0.0000, 0.0000) x1  12 O 3.14
Na (0.5000, 0.5000, 0.5000) x1  6 O 2.22
O (0.0000, 0.5000, 0.5000) x3  2 Na 2.22

Summary:
- E_form (meV/atom) = -504

=====

Entry from Materials Project: an optimized crystal structure of K2NaO2 (PBE).

Cell lengths 4.5481, 4.5481, 13.3570 Å; angles 90.00, 90.00, 90.00 degrees
With the nearest neighbours (Å) after each atom.
Space group P4/mmm (No. 123)
Asymmetric unit:
K (0.0000, 0.0000, 0.1633) x2  1 O 2.32
Na (0.0000, 0.0000, 0.5000) x1  2 O 2.18
O (0.0000, 0.0000, 0.3371) x2  1 Na 2.18, 1 K 2.32

Summary:
- E_form (meV/atom) = -401

=====

Entry from Materials Project: an optimized crystal structure of K3NaOs2O9 (PBE).

Cell lengths 6.0691, 6.0691, 14.5056 Å; angles 90.00, 90.00, 120.00 degrees
With the nearest neighbours (Å) after each atom.
Space group P6_3/mmc (No. 194)
Asymmetric unit:
K (0.0000, 0.0000, 0.2500) x2  12 O 3.00-3.05
K (0.3333, 0.6667, 0.1092) x4  9 O 2.92-3.05
Na (0.0000, 0.0000, 0.0000) x2  6 O 2.32
Os (0.3333, 0.6667, 0.6493) x4  3 O 1.81
O (0.0638, 0.5319, 0.7500) x6  2 Os 2.03
O (0.1818, 0.3636, 0.5906) x12  1 Os 1.81

Summary:
- E_form (meV/atom) = -1812